Li6V3P8O29 | GGA+U | optimized geometry

The symmetry is P1 (1). The value obtained for the energy above the lowest structure with this stoichiometry is 0.11 kcal/mol of atoms. Its energy of formation from the pure elements is -2.6580 eV/atom. For the total DFT energy (no corrections), the calculation gives -322.746 eV per formula unit. The calculation puts the MP2020-corrected energy at -7.560 eV/atom.

Unit cell a=9.817 b=9.840 c=14.079 alpha=90.28 beta=90.19 gamma=119.91
Element x y z (fractional)
Li (0.000, 0.000, 0.000)
Li (0.001, 0.583, 0.498)
Li (0.137, 0.570, 0.998)
Li (0.146, 0.140, 0.501)
Li (0.218, 0.857, 0.065)
Li (0.234, 0.903, 0.568)
Li (0.325, 0.227, 0.122)
Li (0.558, 0.998, 0.498)
Li (0.565, 0.140, 0.002)
Li (0.573, 0.582, 0.453)
Li (0.576, 0.586, 0.954)
Li (0.901, 0.239, 0.671)
V (0.234, 0.343, 0.312)
V (0.237, 0.472, 0.808)
V (0.671, 0.906, 0.306)
V (0.674, 0.346, 0.809)
V (0.796, 0.907, 0.809)
V (0.801, 0.472, 0.311)
P (0.008, 0.993, 0.215)
P (0.010, 0.592, 0.714)
P (0.142, 0.130, 0.718)
P (0.148, 0.592, 0.218)
P (0.324, 0.689, 0.401)
P (0.327, 0.226, 0.901)
P (0.455, 0.821, 0.900)
P (0.458, 0.219, 0.400)
P (0.548, 0.135, 0.217)
P (0.549, 0.998, 0.715)
P (0.568, 0.571, 0.193)
P (0.568, 0.573, 0.691)
P (0.900, 0.237, 0.432)
P (0.904, 0.242, 0.931)
P (0.928, 0.822, 0.399)
P (0.929, 0.688, 0.899)
O (0.013, 0.670, 0.623)
O (0.014, 0.704, 0.799)
O (0.020, 0.891, 0.300)
O (0.022, 0.924, 0.123)
O (0.033, 0.919, 0.478)
O (0.038, 0.697, 0.977)
O (0.049, 0.235, 0.394)
O (0.054, 0.388, 0.890)
O (0.128, 0.281, 0.729)
O (0.150, 0.437, 0.234)
O (0.152, 0.569, 0.727)
O (0.155, 0.161, 0.227)
O (0.211, 0.667, 0.124)
O (0.221, 0.126, 0.628)
O (0.225, 0.695, 0.479)
O (0.233, 0.140, 0.988)
O (0.241, 0.124, 0.808)
O (0.253, 0.709, 0.301)
O (0.315, 0.651, 0.902)
O (0.320, 0.254, 0.403)
O (0.336, 0.537, 0.392)
O (0.343, 0.390, 0.891)
O (0.415, 0.561, 0.733)
O (0.419, 0.420, 0.230)
O (0.432, 0.125, 0.302)
O (0.439, 0.891, 0.799)
O (0.445, 0.918, 0.979)
O (0.450, 0.116, 0.480)
O (0.463, 0.132, 0.126)
O (0.470, 0.924, 0.623)
O (0.492, 0.245, 0.903)
O (0.493, 0.828, 0.403)
O (0.565, 0.570, 0.086)
O (0.567, 0.719, 0.236)
O (0.568, 0.572, 0.586)
O (0.572, 0.995, 0.225)
O (0.573, 0.163, 0.728)
O (0.581, 0.435, 0.736)
O (0.608, 0.811, 0.895)
O (0.611, 0.381, 0.392)
O (0.702, 0.290, 0.232)
O (0.706, 0.725, 0.736)
O (0.714, 0.576, 0.238)
O (0.715, 0.013, 0.729)
O (0.751, 0.089, 0.390)
O (0.756, 0.245, 0.890)
O (0.765, 0.811, 0.392)
O (0.767, 0.535, 0.895)
O (0.856, 0.999, 0.229)
O (0.860, 0.427, 0.729)
O (0.896, 0.231, 0.539)
O (0.896, 0.651, 0.403)
O (0.898, 0.827, 0.903)
O (0.899, 0.090, 0.890)
O (0.903, 0.389, 0.397)
O (0.906, 0.244, 0.037)
O (0.977, 0.989, 0.727)
O (0.980, 0.560, 0.234)